a.
DFT (GGA+U) results for crystalline Co2OF3 at its relaxed geometry.

a = 15.6515 Å, b = 6.8393 Å, c = 6.5375 Å
α = 90.00°, β = 90.00°, γ = 90.00°
Space group Amm2 (No. 38)
Symmetry-distinct sites (fractional):
Co 0.0000 0.0000 0.0000 (multiplicity 2)
Co 0.1007 0.0000 0.5195 (multiplicity 4)
Co 0.1962 0.0000 0.9877 (multiplicity 4)
Co 0.2996 0.0000 0.5408 (multiplicity 4)
Co 0.3990 0.0000 0.0139 (multiplicity 4)
Co 0.5000 0.0000 0.4797 (multiplicity 2)
O 0.1052 0.0000 0.8244 (multiplicity 4)
O 0.2999 0.0000 0.8166 (multiplicity 4)
O 0.5000 0.0000 0.2068 (multiplicity 2)
F 0.0000 0.1978 0.5158 (multiplicity 4)
F 0.1031 0.0000 0.2127 (multiplicity 4)
F 0.2040 0.1977 0.5148 (multiplicity 8)
F 0.2962 0.0000 0.2237 (multiplicity 4)
F 0.3998 0.1933 0.5128 (multiplicity 8)
F 0.5000 0.0000 0.7970 (multiplicity 2)

magnetic moment: 1.167 μB/atom


b.
DFT (GGA+U) results for crystalline Co2OF3 at its relaxed geometry.

a = 12.2367 Å, b = 6.8647 Å, c = 6.5247 Å
α = 90.00°, β = 90.00°, γ = 90.00°
Space group Amm2 (No. 38)
Symmetry-distinct sites (fractional):
Co 0.0000 0.0000 0.0000 (multiplicity 2)
Co 0.1249 0.0000 0.5325 (multiplicity 4)
Co 0.2495 0.0000 0.0628 (multiplicity 4)
Co 0.3744 0.0000 0.5290 (multiplicity 4)
Co 0.5000 0.0000 0.0644 (multiplicity 2)
O 0.0000 0.0000 0.7036 (multiplicity 2)
O 0.2485 0.0000 0.3588 (multiplicity 4)
O 0.5000 0.0000 0.3568 (multiplicity 2)
F 0.0000 0.0000 0.3179 (multiplicity 2)
F 0.1253 0.2019 0.0320 (multiplicity 8)
F 0.2515 0.0000 0.7464 (multiplicity 4)
F 0.3782 0.1957 0.0489 (multiplicity 8)
F 0.5000 0.0000 0.7404 (multiplicity 2)

magnetic moment: 0.025 μB/atom


Referenced to the most stable arrangement, the calculated values in meV/atom are a 0; b 312.


a.
DFT (GGA+U) results for crystalline Co2OF3 at its relaxed geometry.

a = 15.9012 Å, b = 6.8079 Å, c = 6.4143 Å
α = 90.00°, β = 90.00°, γ = 90.00°
Space group Amm2 (No. 38)
Symmetry-distinct sites (fractional):
Co 0.0000 0.0000 0.0000 (multiplicity 2)
Co 0.1002 0.0000 0.4559 (multiplicity 4)
Co 0.2000 0.0000 0.9800 (multiplicity 4)
Co 0.2999 0.0000 0.5045 (multiplicity 4)
Co 0.3999 0.0000 0.9606 (multiplicity 4)
Co 0.5000 0.0000 0.4976 (multiplicity 2)
O 0.1021 0.0000 0.1782 (multiplicity 4)
O 0.2978 0.0000 0.7821 (multiplicity 4)
O 0.5000 0.0000 0.7764 (multiplicity 2)
F 0.0000 0.1946 0.4805 (multiplicity 4)
F 0.0984 0.0000 0.7689 (multiplicity 4)
F 0.2000 0.1942 0.4802 (multiplicity 8)
F 0.3017 0.0000 0.1913 (multiplicity 4)
F 0.3998 0.1947 0.4782 (multiplicity 8)
F 0.5000 0.0000 0.1864 (multiplicity 2)

magnetic moment: 1.166 μB/atom


b.
DFT (GGA+U) results for crystalline Co2OF3 at its relaxed geometry.

a = 5.7166 Å, b = 4.7360 Å, c = 10.3907 Å
α = 90.00°, β = 96.60°, γ = 90.00°
Space group P2_1/c (No. 14)
Symmetry-distinct sites (fractional):
Co 0.0000 0.0000 0.0000 (multiplicity 2)
Co 0.2411 0.0312 0.7311 (multiplicity 4)
Co 0.5000 0.0000 0.5000 (multiplicity 2)
O 0.2189 0.1998 0.5753 (multiplicity 4)
F 0.0218 0.7003 0.6793 (multiplicity 4)
F 0.2757 0.6853 0.4119 (multiplicity 4)
F 0.4845 0.1991 0.3241 (multiplicity 4)

magnetic moment: 1.167 μB/atom


Referenced to the most stable arrangement, the calculated values in meV/atom are a 0; b 27.


a.
DFT (GGA+U) results for crystalline Li5Mn3O8 at its relaxed geometry.

a = 2.9530 Å, b = 5.0892 Å, c = 9.7813 Å
α = 86.48°, β = 82.70°, γ = 87.85°
Space group P-1 (No. 2)
Symmetry-distinct sites (fractional):
Li 0.0000 0.0000 0.0000 (multiplicity 1)
Li 0.1099 0.3689 0.7651 (multiplicity 2)
Li 0.3835 0.1123 0.2271 (multiplicity 2)
Mn 0.2505 0.7497 0.4997 (multiplicity 2)
Mn 0.5000 0.5000 0.0000 (multiplicity 1)
O 0.0394 0.6659 0.8908 (multiplicity 2)
O 0.1688 0.0582 0.6135 (multiplicity 2)
O 0.3298 0.4389 0.3885 (multiplicity 2)
O 0.4349 0.7878 0.1179 (multiplicity 2)

magnetic moment: 0.625 μB/atom


b.
DFT (GGA+U) results for crystalline Li5Mn3O8 at its relaxed geometry.

a = 5.0586 Å, b = 5.1618 Å, c = 5.7668 Å
α = 90.03°, β = 106.60°, γ = 98.79°
Space group P-1 (No. 2)
Symmetry-distinct sites (fractional):
Li 0.0000 0.0000 0.0000 (multiplicity 1)
Li 0.4864 0.7597 0.1178 (multiplicity 2)
Li 0.4945 0.7513 0.6273 (multiplicity 2)
Mn 0.0000 0.0000 0.5000 (multiplicity 1)
Mn 0.0000 0.5005 0.2474 (multiplicity 2)
O 0.2190 0.8513 0.3145 (multiplicity 2)
O 0.2204 0.8525 0.7959 (multiplicity 2)
O 0.2287 0.3992 0.0573 (multiplicity 2)
O 0.2315 0.3955 0.5580 (multiplicity 2)

magnetic moment: 0.625 μB/atom


Referenced to the most stable arrangement, the calculated values in meV/atom are a 76; b 0.


a.
DFT (GGA+U) results for crystalline Li5Mn3O8 at its relaxed geometry.

a = 10.1824 Å, b = 11.8394 Å, c = 5.0009 Å
α = 90.00°, β = 108.72°, γ = 90.00°
Space group C2/m (No. 12)
Symmetry-distinct sites (fractional):
Li 0.0000 0.2485 0.0000 (multiplicity 4)
Li 0.2466 0.3689 0.0043 (multiplicity 8)
Li 0.2474 0.5000 0.5039 (multiplicity 4)
Li 0.2500 0.2500 0.5000 (multiplicity 4)
Mn 0.0000 0.0000 0.0000 (multiplicity 2)
Mn 0.0000 0.1276 0.5000 (multiplicity 4)
Mn 0.0000 0.3732 0.5000 (multiplicity 4)
Mn 0.0000 0.5000 0.0000 (multiplicity 2)
O 0.1078 0.0000 0.7416 (multiplicity 4)
O 0.1099 0.1154 0.2486 (multiplicity 8)
O 0.1095 0.3832 0.2488 (multiplicity 8)
O 0.1180 0.2383 0.7225 (multiplicity 8)
O 0.1191 0.5000 0.7692 (multiplicity 4)

magnetic moment: 0.438 μB/atom


b.
DFT (GGA+U) results for crystalline Li5Mn3O8 at its relaxed geometry.

a = 10.1357 Å, b = 5.9278 Å, c = 10.0517 Å
α = 90.00°, β = 108.33°, γ = 90.00°
Space group Cc (No. 9)
Symmetry-distinct sites (fractional):
Li 0.0000 0.0243 0.0000 (multiplicity 4)
Li 0.0022 0.2502 0.7563 (multiplicity 4)
Li 0.0044 0.2468 0.2589 (multiplicity 4)
Li 0.0055 0.4761 0.5127 (multiplicity 4)
Li 0.2521 0.2381 0.5063 (multiplicity 4)
Mn 0.2521 0.2634 0.0055 (multiplicity 4)
Mn 0.2523 0.4994 0.2564 (multiplicity 4)
Mn 0.2528 0.0016 0.7567 (multiplicity 4)
O 0.1331 0.2816 0.1256 (multiplicity 4)
O 0.1396 0.4948 0.8802 (multiplicity 4)
O 0.1416 0.0285 0.8873 (multiplicity 4)
O 0.1461 0.2516 0.6488 (multiplicity 4)
O 0.3586 0.2509 0.3639 (multiplicity 4)
O 0.3610 0.0297 0.1243 (multiplicity 4)
O 0.3641 0.4935 0.1319 (multiplicity 4)
O 0.3722 0.2816 0.8865 (multiplicity 4)

magnetic moment: 0.625 μB/atom


Referenced to the most stable arrangement, the calculated values in meV/atom are a 0; b 9.


a.
DFT (GGA+U) results for crystalline MoP4O12 at its relaxed geometry.

a = 15.2694 Å, b = 7.4107 Å, c = 9.6046 Å
α = 90.00°, β = 121.67°, γ = 90.00°
Space group C2/c (No. 15)
Symmetry-distinct sites (fractional):
Mo 0.0000 0.1437 0.2500 (multiplicity 4)
P 0.1275 0.4333 0.1312 (multiplicity 8)
P 0.1407 0.1710 0.6727 (multiplicity 8)
O 0.0701 0.0684 0.7096 (multiplicity 8)
O 0.0705 0.4371 0.9518 (multiplicity 8)
O 0.0970 0.3045 0.2239 (multiplicity 8)
O 0.1190 0.1482 0.5013 (multiplicity 8)
O 0.1422 0.3755 0.7219 (multiplicity 8)
O 0.2464 0.3886 0.1949 (multiplicity 8)

magnetic moment: 0.118 μB/atom


b.
DFT (GGA+U) results for crystalline MoP4O12 at its relaxed geometry.

a = 12.7095 Å, b = 8.3957 Å, c = 10.0878 Å
α = 90.00°, β = 116.99°, γ = 90.00°
Space group C2/c (No. 15)
Symmetry-distinct sites (fractional):
Mo 0.2500 0.2500 0.0000 (multiplicity 4)
P 0.0053 0.2427 0.0316 (multiplicity 8)
P 0.1737 0.0172 0.6851 (multiplicity 8)
O 0.0094 0.3853 0.3974 (multiplicity 8)
O 0.0632 0.0944 0.1512 (multiplicity 8)
O 0.0751 0.2438 0.9386 (multiplicity 8)
O 0.1221 0.1666 0.5782 (multiplicity 8)
O 0.2234 0.0737 0.8440 (multiplicity 8)
O 0.2378 0.4318 0.8513 (multiplicity 8)

magnetic moment: 0.118 μB/atom


Referenced to the most stable arrangement, the calculated values in meV/atom are a 6; b 0.


a.
DFT (GGA+U) results for crystalline MgMn6O10F2 at its relaxed geometry.

a = 5.0726 Å, b = 8.7616 Å, c = 5.1674 Å
α = 90.00°, β = 101.20°, γ = 90.00°
Space group Pm (No. 6)
Symmetry-distinct sites (fractional):
Mg 0.0000 0.0000 0.0000 (multiplicity 1)
Mn 0.4957 0.0000 0.9191 (multiplicity 1)
Mn 0.5000 0.3422 0.9433 (multiplicity 2)
Mn 0.9322 0.1746 0.4978 (multiplicity 2)
Mn 0.9954 0.5000 0.4519 (multiplicity 1)
O 0.1416 0.0000 0.6664 (multiplicity 1)
O 0.1938 0.3311 0.6394 (multiplicity 2)
O 0.3294 0.5000 0.0868 (multiplicity 1)
O 0.6667 0.5000 0.7955 (multiplicity 1)
O 0.6938 0.1595 0.8053 (multiplicity 2)
O 0.7818 0.3356 0.2663 (multiplicity 2)
O 0.7831 0.0000 0.2757 (multiplicity 1)
F 0.2985 0.1569 0.1040 (multiplicity 2)

magnetic moment: 1.158 μB/atom


b.
DFT (GGA+U) results for crystalline MgMn6O10F2 at its relaxed geometry.

a = 4.9688 Å, b = 5.0174 Å, c = 8.7582 Å
α = 90.00°, β = 90.07°, γ = 99.75°
Space group P1 (No. 1)
Symmetry-distinct sites (fractional):
Mg 0.0000 0.0000 0.0000 (multiplicity 1)
Mn 0.0399 0.5082 0.6698 (multiplicity 1)
Mn 0.0798 0.5033 0.0080 (multiplicity 1)
Mn 0.5028 0.0462 0.8256 (multiplicity 1)
Mn 0.5048 0.0333 0.5107 (multiplicity 1)
Mn 0.5061 0.0453 0.1827 (multiplicity 1)
Mn 0.9702 0.5613 0.3402 (multiplicity 1)
O 0.1513 0.7753 0.1663 (multiplicity 1)
O 0.1593 0.7664 0.5093 (multiplicity 1)
O 0.1676 0.7643 0.8433 (multiplicity 1)
O 0.3642 0.2365 0.6754 (multiplicity 1)
O 0.3657 0.2244 0.0046 (multiplicity 1)
O 0.6371 0.8556 0.6700 (multiplicity 1)
O 0.6409 0.8526 0.3426 (multiplicity 1)
O 0.8386 0.3190 0.5042 (multiplicity 1)
O 0.8730 0.2888 0.1651 (multiplicity 1)
O 0.8736 0.2782 0.8466 (multiplicity 1)
F 0.3526 0.2571 0.3566 (multiplicity 1)
F 0.6400 0.8025 0.9903 (multiplicity 1)

magnetic moment: 1.158 μB/atom


Referenced to the most stable arrangement, the calculated values in meV/atom are a 9; b 0.